The following is a PBE calculation of a relaxed LaAl10Cu2 crystal, from the Materials Project.

```
LaAl10Cu2
1.0
6.1251 -6.5626 1.9440
-0.5784 -7.1107 0.7424
5.6623 -1.7817 -3.3829
Al La Cu
10 1 2
direct
0.3523 0.0080 0.9920
0.6477 0.9920 0.0080
0.4919 0.2747 0.7253
0.2747 0.4919 0.5081
0.9920 0.6477 0.3523
0.0000 0.0000 0.5000
0.0080 0.3523 0.6477
0.5000 0.5000 0.0000
0.5081 0.7253 0.2747
0.7253 0.5081 0.4919
0.0000 0.0000 0.0000
0.5000 0.0000 0.5000
0.0000 0.5000 0.0000
```

Spin magnetization (μB per atom): 0.002
Symmetry: No. 69

---

The following is a PBE calculation of a relaxed Tl2PtC4N4 crystal, from the Materials Project.

```
Tl2PtC4N4
1.0
7.3978 0.0000 0.0000
0.0000 6.3334 0.0000
0.0000 3.8651 9.2776
N Pt Tl C
8 2 4 8
direct
0.2384 0.5688 0.1064
0.5064 0.9846 0.3186
0.2616 0.5688 0.6064
0.7616 0.4312 0.8936
0.9936 0.9846 0.8186
0.4936 0.0154 0.6814
0.7384 0.4312 0.3936
0.0064 0.0154 0.1814
0.5000 0.0000 0.0000
0.0000 0.0000 0.5000
0.1534 0.3112 0.9185
0.6534 0.6888 0.5815
0.3466 0.3112 0.4185
0.8466 0.6888 0.0815
0.8415 0.2778 0.4343
0.4982 0.9928 0.2004
0.5018 0.0072 0.7996
0.9982 0.0072 0.2996
0.6585 0.2778 0.9343
0.1585 0.7222 0.5657
0.3415 0.7222 0.0657
0.0018 0.9928 0.7004
```

Spin magnetization (μB per atom): 0.000
Symmetry: No. 14

---

The following is a PBE calculation of a relaxed DySnPd2 crystal, from the Materials Project.

```
DySnPd2
1.0
-3.3998 -3.3998 0.0000
-3.3998 0.0000 -3.3998
0.0000 -3.3998 -3.3998
Pd Dy Sn
2 1 1
direct
0.2500 0.2500 0.2500
0.7500 0.7500 0.7500
0.0000 0.0000 0.0000
0.5000 0.5000 0.5000
```

Symmetry: No. 225

---

The following is a PBE calculation of a relaxed Ba3HoB9O18 crystal, from the Materials Project.

```
Ba3HoB9O18
1.0
0.8392 2.0833 -6.9163
-6.6616 -0.4371 2.8828
1.1383 16.6610 5.1567
O B Ho Ba
36 18 2 6
direct
0.8769 0.4965 0.0820
0.1231 0.5035 0.9180
0.4965 0.6196 0.5820
0.0800 0.6671 0.2500
0.9946 0.2444 0.0806
0.2498 0.0054 0.0806
0.0054 0.7556 0.5806
0.5035 0.3804 0.4180
0.7556 0.7502 0.4194
0.6671 0.5871 0.7500
0.3329 0.4129 0.2500
0.5871 0.9200 0.2500
0.7556 0.7502 0.0806
0.2444 0.2498 0.5806
0.1670 0.7090 0.7500
0.4129 0.0800 0.7500
0.1231 0.5035 0.5820
0.2498 0.0054 0.4194
0.9200 0.3329 0.7500
0.7090 0.5420 0.2500
0.3804 0.8769 0.5820
0.2910 0.4580 0.7500
0.8769 0.4965 0.4180
0.7502 0.9946 0.5806
0.3804 0.8769 0.9180
0.6196 0.1231 0.4180
0.4580 0.1670 0.2500
0.2444 0.2498 0.9194
0.9946 0.2444 0.4194
0.4965 0.6196 0.9180
0.6196 0.1231 0.0820
0.7502 0.9946 0.9194
0.8330 0.2910 0.2500
0.5035 0.3804 0.0820
0.0054 0.7556 0.9194
0.5420 0.8330 0.7500
0.5504 0.8348 0.9183
0.1652 0.7155 0.5817
0.1174 0.4952 0.7500
0.8348 0.2845 0.0817
0.4952 0.3778 0.2500
0.1652 0.7155 0.9183
0.4496 0.1652 0.4183
0.2845 0.4496 0.9183
0.4496 0.1652 0.0817
0.7155 0.5504 0.0817
0.3778 0.8826 0.7500
0.5504 0.8348 0.5817
0.2845 0.4496 0.5817
0.8826 0.5048 0.2500
0.6222 0.1174 0.2500
0.7155 0.5504 0.4183
0.8348 0.2845 0.4183
0.5048 0.6222 0.7500
0.0000 0.0000 0.5000
0.0000 0.0000 0.0000
0.3333 0.6667 0.1322
0.6667 0.3333 0.6322
0.0000 0.0000 0.7500
0.0000 0.0000 0.2500
0.3333 0.6667 0.3678
0.6667 0.3333 0.8678
```

Spin magnetization (μB per atom): 0.000
Symmetry: No. 176

---

The following is a PBE calculation of a relaxed CrN2 crystal, from the Materials Project.

```
CrN2
1.0
-2.5236 -3.6799 2.4648
3.7466 -2.1366 -3.1046
4.3092 0.9208 5.0077
N Cr
8 4
direct
0.4608 0.7227 0.5641
0.5407 0.4532 0.9828
0.2172 0.1424 0.6407
0.0131 0.3062 0.0736
0.3444 0.9021 0.9710
0.0182 0.7241 0.3144
0.8390 0.9215 0.8764
0.5734 0.1776 0.3356
0.2162 0.1337 0.8924
0.3205 0.9341 0.4582
0.5240 0.7208 0.8358
0.7972 0.4213 0.1890
```

Spin magnetization (μB per atom): 0.000
Symmetry: No. 1

---

The following is a PBE calculation of a relaxed MgAl2S4 crystal, from the Materials Project.

```
MgAl2S4
1.0
-4.4058 -1.7051 3.6204
2.8469 -6.6853 0.3160
6.9124 3.4173 10.0213
Al Mg S
8 4 16
direct
0.4093 0.2500 0.9152
0.5000 0.0000 0.5000
0.0907 0.2500 0.4152
0.9093 0.7500 0.5848
0.0000 0.5000 0.0000
0.5000 0.5000 0.5000
0.5907 0.7500 0.0848
0.0000 0.0000 0.0000
0.5018 0.2500 0.2348
0.4982 0.7500 0.7652
0.0018 0.7500 0.2652
0.9982 0.2500 0.7348
0.2612 0.0048 0.3421
0.2716 0.2500 0.5739
0.7871 0.2500 0.9157
0.7612 0.5048 0.1579
0.2612 0.4952 0.3421
0.2129 0.7500 0.0843
0.7388 0.5048 0.6579
0.7129 0.2500 0.4157
0.7716 0.7500 0.9261
0.2871 0.7500 0.5843
0.7388 0.9952 0.6579
0.7284 0.7500 0.4261
0.7612 0.9952 0.1579
0.2388 0.0048 0.8421
0.2388 0.4952 0.8421
0.2284 0.2500 0.0739
```

Symmetry: No. 62

---

The following is a PBE calculation of a relaxed SmCd11 crystal, from the Materials Project.

```
SmCd11
1.0
-8.2887 0.7637 4.4582
-2.6457 -8.3674 -3.4856
3.6686 -4.3088 7.5589
Cd Sm
33 3
direct
0.6548 0.0000 0.3452
0.6548 0.6548 0.0000
0.8448 0.1552 0.8448
0.3452 0.0000 0.6548
0.1552 0.1552 0.8448
0.1552 0.8448 0.8448
0.1552 0.8448 0.1552
0.1552 0.1552 0.1552
0.8448 0.1552 0.1552
0.3452 0.0000 0.3452
0.0000 0.3452 0.6548
0.3452 0.3452 0.0000
0.5000 0.7351 0.2649
0.6548 0.0000 0.6548
0.0000 0.6548 0.3452
0.3452 0.6548 0.0000
0.0000 0.3452 0.3452
0.7351 0.2649 0.5000
0.7351 0.7351 0.5000
0.8448 0.8448 0.8448
0.8448 0.8448 0.1552
0.0000 0.6548 0.6548
0.2649 0.2649 0.5000
0.7351 0.5000 0.7351
0.6548 0.3452 0.0000
0.5000 0.2649 0.2649
0.2649 0.5000 0.7351
0.5000 0.5000 0.5000
0.2649 0.5000 0.2649
0.5000 0.2649 0.7351
0.7351 0.5000 0.2649
0.5000 0.7351 0.7351
0.2649 0.7351 0.5000
0.0000 0.0000 0.5000
0.0000 0.5000 0.0000
0.5000 0.0000 0.0000
```

Symmetry: No. 221

---

The following is a PBE calculation of a relaxed MgTe2Mo2W2Se4S2 crystal, from the Materials Project.

```
MgTe2Mo2W2Se4S2
1.0
-1.3744 0.2863 -3.0255
-1.8955 -0.8066 2.6232
-7.9964 44.2176 7.8167
Se S Te Mo Mg W
4 2 2 2 1 2
direct
0.6667 0.3334 0.0572
0.6667 0.3334 0.1304
0.3333 0.6666 0.2375
0.3333 0.6667 0.3113
0.6667 0.3334 0.5099
0.6667 0.3333 0.4430
0.3333 0.6666 0.6162
0.3333 0.6666 0.6995
0.6666 0.3333 0.6579
0.3334 0.6667 0.0938
0.0000 0.0000 0.3815
0.3333 0.6667 0.4767
0.6667 0.3333 0.2742
```

ΔE to the lowest computed polymorph (eV/f.u.): 0.13
Spin magnetization (μB per atom): 0.000
Symmetry: No. 156

---

no.,total energy (eV/atom),energy of formation (eV per formula unit)
1,-4.09,-2.62
2,-7.20,0.45
3,-5.62,-3.51
4,-7.88,-97.17
5,-8.51,0.06
6,-4.85,-10.35
7,-1.36,-1.50
8,-6.44,-6.97